The following is a DFT calculation (PBE) of an optimized crystal structure of CaH20C4S4N2O12.

abc: 7.7202 8.2718 8.6047
angles: 71.12 76.76 64.40
Fractional positions:
1 Ca 0.0000 0.0000 0.0000
2 H 0.0885 0.6005 0.1939
3 H 0.1085 0.0771 0.5243
4 H 0.1614 0.6898 0.2877
5 H 0.2966 0.1649 0.4664
6 H 0.2997 0.1215 0.7888
7 H 0.3077 0.7043 0.7710
8 H 0.3351 0.9505 0.4217
9 H 0.3558 0.4689 0.8948
10 H 0.4367 0.9167 0.8691
11 H 0.4908 0.4861 0.2932
12 H 0.5092 0.5139 0.7068
13 H 0.5633 0.0833 0.1309
14 H 0.6442 0.5311 0.1052
15 H 0.6649 0.0495 0.5783
16 H 0.6923 0.2957 0.2290
17 H 0.7003 0.8785 0.2112
18 H 0.7034 0.8351 0.5336
19 H 0.8386 0.3102 0.7123
20 H 0.8915 0.9229 0.4757
21 H 0.9115 0.3995 0.8061
22 C 0.2307 0.0883 0.4336
23 C 0.3624 0.5584 0.7698
24 C 0.6376 0.4416 0.2302
25 C 0.7693 0.9117 0.5664
26 S 0.1445 0.2153 0.2379
27 S 0.2167 0.5348 0.6533
28 S 0.7833 0.4652 0.3467
29 S 0.8555 0.7847 0.7621
30 N 0.0026 0.5796 0.7514
31 N 0.9974 0.4204 0.2486
32 O 0.0496 0.1133 0.2000
33 O 0.1323 0.7028 0.1773
34 O 0.2188 0.6643 0.4902
35 O 0.2914 0.3397 0.6529
36 O 0.3007 0.9978 0.8520
37 O 0.3084 0.2357 0.1214
38 O 0.6916 0.7643 0.8786
39 O 0.6993 0.0022 0.1480
40 O 0.7086 0.6603 0.3471
41 O 0.7812 0.3357 0.5098
42 O 0.8677 0.2972 0.8227
43 O 0.9504 0.8867 0.8000

Computed properties:
uncorrected energy: -232.61 eV per cell
formation energy: -0.965 eV/atom
total magnetic moment: 0.0 μB/f.u.
space group: P-1



The following is a DFT calculation (PBE) of an optimized crystal structure of Na2CaH4C2O8.

abc: 10.5547 6.4694 11.6131
angles: 64.23 33.50 82.26
Fractional positions:
1 Na 0.3228 0.6772 0.4529
2 Na 0.6772 0.3228 0.5471
3 Na 0.7029 0.7971 0.5728
4 Na 0.7971 0.7029 0.9272
5 Ca 0.2411 0.2411 0.2589
6 Ca 0.9911 0.9911 0.0089
7 H 0.1601 0.7412 0.3136
8 H 0.4071 0.6426 0.6374
9 H 0.4649 0.9364 0.5088
10 H 0.6126 0.9371 0.8429
11 H 0.6426 0.4071 0.3129
12 H 0.7412 0.1601 0.7851
13 H 0.9364 0.4649 0.0899
14 H 0.9371 0.6126 0.6074
15 C 0.1993 0.3045 0.0287
16 C 0.2213 0.7824 0.0507
17 C 0.3045 0.1993 0.4676
18 C 0.7824 0.2213 0.9455
19 O 0.0020 0.2248 0.2656
20 O 0.0786 0.7822 0.4326
21 O 0.1746 0.3430 0.9283
22 O 0.2248 0.0020 0.5076
23 O 0.3217 0.6959 0.0754
24 O 0.3430 0.1746 0.5541
25 O 0.3498 0.4220 0.3376
26 O 0.3594 0.9124 0.8280
27 O 0.4220 0.3498 0.8906
28 O 0.5435 0.8174 0.4678
29 O 0.6959 0.3217 0.9070
30 O 0.7424 0.9844 0.0252
31 O 0.7822 0.0786 0.7065
32 O 0.8174 0.5435 0.1714
33 O 0.9124 0.3594 0.9002
34 O 0.9844 0.7424 0.2480

Computed properties:
uncorrected energy: -208.60 eV per cell
formation energy: -1.973 eV/atom
space group: Fdd2



The following is a DFT calculation (PBE) of an optimized crystal structure of CaH2CO4.

abc: 6.1476 6.1476 7.5779
angles: 90.00 90.00 120.00
Fractional positions:
1 Ca 0.0012 0.2765 0.0000
2 Ca 0.2753 0.9988 0.6667
3 Ca 0.7235 0.7247 0.3333
4 H 0.0920 0.5505 0.4201
5 H 0.4495 0.5415 0.7534
6 H 0.4585 0.9080 0.0868
7 H 0.5455 0.4486 0.9148
8 H 0.5514 0.0969 0.2481
9 H 0.9031 0.4545 0.5814
10 C 0.0234 0.7446 0.0388
11 C 0.2554 0.2788 0.3721
12 C 0.7212 0.9766 0.7054
13 O 0.0007 0.6026 0.5033
14 O 0.0513 0.1222 0.4508
15 O 0.0709 0.9487 0.1174
16 O 0.1895 0.7343 0.9359
17 O 0.2657 0.4552 0.2692
18 O 0.3974 0.3981 0.8366
19 O 0.4618 0.2742 0.4045
20 O 0.5448 0.8105 0.6025
21 O 0.6019 0.9993 0.1700
22 O 0.7258 0.1876 0.7379
23 O 0.8124 0.5382 0.0712
24 O 0.8778 0.9291 0.7841

Computed properties:
uncorrected energy: -156.40 eV per cell
offset from the most stable computed form: 4 meV per atom
formation energy: -2.134 eV/atom
space group: P3_1



The following is a DFT calculation (PBE) of an optimized crystal structure of CaH2CO4.

abc: 10.6454 10.6454 7.6443
angles: 90.00 90.00 120.00
Fractional positions:
1 Ca 0.1852 0.0840 0.0000
2 Ca 0.2398 0.7587 0.3197
3 Ca 0.2413 0.4811 0.6531
4 Ca 0.5189 0.7602 0.9864
5 Ca 0.5732 0.4246 0.3114
6 Ca 0.5754 0.1486 0.6447
7 Ca 0.8514 0.4268 0.9780
8 Ca 0.8988 0.8148 0.6667
9 Ca 0.9160 0.1012 0.3333
10 H 0.0037 0.5484 0.5693
11 H 0.1080 0.7727 0.8995
12 H 0.1282 0.3296 0.0760
13 H 0.2015 0.8718 0.7427
14 H 0.2273 0.3352 0.2328
15 H 0.3336 0.1205 0.4035
16 H 0.3360 0.2188 0.5596
17 H 0.4515 0.0022 0.0787
18 H 0.4516 0.4553 0.9026
19 H 0.5447 0.9963 0.2359
20 H 0.5507 0.5485 0.7454
21 H 0.6648 0.8920 0.5662
22 H 0.6704 0.7985 0.4093
23 H 0.7812 0.1171 0.8929
24 H 0.7869 0.6664 0.0702
25 H 0.8795 0.2131 0.7368
26 H 0.8829 0.6640 0.2262
27 H 0.9978 0.4493 0.4120
28 C 0.0820 0.1770 0.7054
29 C 0.0949 0.9180 0.3721
30 C 0.1569 0.5665 0.0248
31 C 0.4096 0.8431 0.6915
32 C 0.4335 0.5904 0.3582
33 C 0.4887 0.2501 0.9461
34 C 0.7499 0.2386 0.2794
35 C 0.7614 0.5113 0.6127
36 C 0.8230 0.9051 0.0388
37 O 0.0019 0.0563 0.7846
38 O 0.0253 0.2356 0.6048
39 O 0.0260 0.7785 0.3999
40 O 0.0544 0.9981 0.4512
41 O 0.0665 0.5301 0.4890
42 O 0.0841 0.6337 0.0556
43 O 0.0996 0.4522 0.9245
44 O 0.1238 0.8571 0.8267
45 O 0.1429 0.2667 0.1600
46 O 0.2103 0.9747 0.2714
47 O 0.2215 0.2475 0.7333
48 O 0.2786 0.6104 0.1030
49 O 0.3318 0.7214 0.7696
50 O 0.3526 0.9004 0.5912
51 O 0.3663 0.4504 0.3889
52 O 0.3896 0.6682 0.4363
53 O 0.4007 0.2008 0.4834
54 O 0.4181 0.1101 0.9169
55 O 0.4312 0.3056 0.0490
56 O 0.4636 0.9335 0.1556
57 O 0.4699 0.5364 0.8223
58 O 0.5478 0.6474 0.2578
59 O 0.5496 0.9159 0.7222
60 O 0.6084 0.3302 0.8650
61 O 0.6698 0.2782 0.1983
62 O 0.6920 0.5819 0.5836
63 O 0.6944 0.1257 0.3823
64 O 0.7218 0.3916 0.5317
65 O 0.7333 0.8762 0.4934
66 O 0.7525 0.9740 0.0666
67 O 0.7644 0.7897 0.9381
68 O 0.7992 0.1999 0.8168
69 O 0.8001 0.5993 0.1501
70 O 0.8743 0.5688 0.7156
71 O 0.8899 0.3080 0.2502
72 O 0.9437 0.9456 0.1179

Computed properties:
uncorrected energy: -469.49 eV per cell
offset from the most stable computed form: 0 meV per atom
formation energy: -2.138 eV/atom
space group: P3_1



The following is a DFT calculation (PBE) of an optimized crystal structure of CaH12CO9.

abc: 6.0754 6.0754 10.9861
angles: 103.74 103.74 86.56
Fractional positions:
1 Ca 0.1415 0.8585 0.7500
2 Ca 0.8585 0.1415 0.2500
3 H 0.1003 0.3389 0.6433
4 H 0.1197 0.7416 0.0009
5 H 0.1800 0.5139 0.9068
6 H 0.2225 0.3955 0.4735
7 H 0.2584 0.8803 0.4991
8 H 0.2735 0.4634 0.3502
9 H 0.3389 0.1003 0.1433
10 H 0.3625 0.3873 0.6671
11 H 0.3873 0.3625 0.1671
12 H 0.3955 0.2225 0.9735
13 H 0.4634 0.2735 0.8502
14 H 0.4861 0.8200 0.5932
15 H 0.5139 0.1800 0.4068
16 H 0.5366 0.7265 0.1498
17 H 0.6045 0.7775 0.0265
18 H 0.6127 0.6375 0.8329
19 H 0.6375 0.6127 0.3329
20 H 0.6611 0.8997 0.8567
21 H 0.7265 0.5366 0.6498
22 H 0.7416 0.1197 0.5009
23 H 0.7775 0.6045 0.5265
24 H 0.8200 0.4861 0.0932
25 H 0.8803 0.2584 0.9991
26 H 0.8997 0.6611 0.3567
27 C 0.2030 0.7970 0.2500
28 C 0.7970 0.2030 0.7500
29 O 0.0932 0.8475 0.3414
30 O 0.1027 0.6625 0.9087
31 O 0.1525 0.9068 0.1586
32 O 0.2096 0.4474 0.6347
33 O 0.2390 0.3341 0.3832
34 O 0.3341 0.2390 0.8832
35 O 0.3375 0.8973 0.5913
36 O 0.3589 0.6411 0.2500
37 O 0.4474 0.2096 0.1347
38 O 0.5526 0.7904 0.8653
39 O 0.6411 0.3589 0.7500
40 O 0.6625 0.1027 0.4087
41 O 0.6659 0.7610 0.1168
42 O 0.7610 0.6659 0.6168
43 O 0.7904 0.5526 0.3653
44 O 0.8475 0.0932 0.8414
45 O 0.8973 0.3375 0.0913
46 O 0.9068 0.1525 0.6586

Computed properties:
uncorrected energy: -252.37 eV per cell
formation energy: -1.560 eV/atom
space group: C2/c



The following is a DFT calculation (PBE) of an optimized crystal structure of CaH4C4S4O4.

abc: 8.1731 10.3532 13.5632
angles: 90.00 91.05 90.00
Fractional positions:
1 Ca 0.1855 0.2500 0.1317
2 Ca 0.3102 0.7500 0.6305
3 Ca 0.6898 0.2500 0.3695
4 Ca 0.8145 0.7500 0.8683
5 H 0.0098 0.1748 0.4457
6 H 0.0098 0.3252 0.4457
7 H 0.1652 0.6728 0.8925
8 H 0.1652 0.8272 0.8925
9 H 0.3407 0.1729 0.3924
10 H 0.3407 0.3271 0.3924
11 H 0.4981 0.1748 0.0581
12 H 0.4981 0.3252 0.0581
13 H 0.5019 0.6748 0.9419
14 H 0.5019 0.8252 0.9419
15 H 0.6593 0.6729 0.6076
16 H 0.6593 0.8271 0.6076
17 H 0.8348 0.1728 0.1075
18 H 0.8348 0.3272 0.1075
19 H 0.9902 0.6748 0.5543
20 H 0.9902 0.8252 0.5543
21 C 0.1754 0.1795 0.8593
22 C 0.1754 0.3205 0.8593
23 C 0.1814 0.1792 0.7518
24 C 0.1814 0.3208 0.7518
25 C 0.3200 0.6793 0.2523
26 C 0.3200 0.8207 0.2523
27 C 0.3237 0.6795 0.3599
28 C 0.3237 0.8205 0.3599
29 C 0.6763 0.1795 0.6401
30 C 0.6763 0.3205 0.6401
31 C 0.6800 0.1793 0.7477
32 C 0.6800 0.3207 0.7477
33 C 0.8186 0.6792 0.2482
34 C 0.8186 0.8208 0.2482
35 C 0.8246 0.6795 0.1407
36 C 0.8246 0.8205 0.1407
37 S 0.1813 0.0713 0.9504
38 S 0.1813 0.4287 0.9504
39 S 0.2105 0.0805 0.6578
40 S 0.2105 0.4195 0.6578
41 S 0.2918 0.5800 0.1578
42 S 0.2918 0.9200 0.1578
43 S 0.3160 0.5710 0.4506
44 S 0.3160 0.9290 0.4506
45 S 0.6840 0.0710 0.5494
46 S 0.6840 0.4290 0.5494
47 S 0.7082 0.0800 0.8422
48 S 0.7082 0.4200 0.8422
49 S 0.7895 0.5805 0.3422
50 S 0.7895 0.9195 0.3422
51 S 0.8187 0.5713 0.0496
52 S 0.8187 0.9287 0.0496
53 O 0.0139 0.7500 0.5956
54 O 0.1070 0.7500 0.8686
55 O 0.2375 0.5579 0.6961
56 O 0.2375 0.9421 0.6961
57 O 0.2615 0.0575 0.1963
58 O 0.2615 0.4425 0.1963
59 O 0.3966 0.2500 0.3676
60 O 0.4808 0.2500 0.1002
61 O 0.5192 0.7500 0.8998
62 O 0.6034 0.7500 0.6324
63 O 0.7385 0.5575 0.8037
64 O 0.7385 0.9425 0.8037
65 O 0.7625 0.0579 0.3039
66 O 0.7625 0.4421 0.3039
67 O 0.8930 0.2500 0.1314
68 O 0.9861 0.2500 0.4044

Computed properties:
uncorrected energy: -393.89 eV per cell
formation energy: -0.729 eV/atom
total magnetic moment: 0.0 μB/f.u.
space group: P2_1/m